1.
A plane-wave DFT calculation with PBE was carried out for Ti5FeSn3 after structural relaxation.

a = 8.2671 Å, b = 8.2671 Å, c = 5.4755 Å
α = 90.00°, β = 90.00°, γ = 120.00°
Space group P6_3/mcm (No. 193)
One atom of each set of equivalent atoms:
Ti (0.0000, 0.2408, 0.2500) (multiplicity 6)
Ti (0.3333, 0.6667, 0.0000) (multiplicity 4)
Fe (0.0000, 0.0000, 0.0000) (multiplicity 2)
Sn (0.0000, 0.3989, 0.7500) (multiplicity 6)

Values from the calculation:
The formation enthalpy at 0 K comes out at -0.3567 eV/atom. Its total magnetization is 0.0057 μB per atom. The crystal system is hexagonal.


2.
A plane-wave DFT calculation with PBE was carried out for TiFeSn after structural relaxation.

a = 6.2248 Å, b = 6.2248 Å, c = 6.2248 Å
α = 90.00°, β = 90.00°, γ = 90.00°
Space group F-43m (No. 216)
One atom of each set of equivalent atoms:
Ti (0.0000, 0.0000, 0.0000) (multiplicity 4)
Fe (0.2500, 0.2500, 0.7500) (multiplicity 4)
Sn (0.2500, 0.2500, 0.2500) (multiplicity 4)

Values from the calculation:
The formation enthalpy at 0 K comes out at 0.4075 eV/atom. Its total magnetization is 0.4924 μB per atom. The crystal system is cubic.


3.
A plane-wave DFT calculation with PBE was carried out for U2Fe2Sn after structural relaxation.

a = 7.2743 Å, b = 7.2743 Å, c = 3.3555 Å
α = 90.00°, β = 90.00°, γ = 90.00°
Space group P4/mbm (No. 127)
One atom of each set of equivalent atoms:
U (0.1651, 0.3349, 0.0000) (multiplicity 4)
Fe (0.1351, 0.6351, 0.5000) (multiplicity 4)
Sn (0.0000, 0.0000, 0.5000) (multiplicity 2)

Values from the calculation:
The formation enthalpy at 0 K comes out at -0.1510 eV/atom. The crystal system is tetragonal.


4.
A plane-wave DFT calculation with PBE was carried out for V2FeSn after structural relaxation.

a = 4.4445 Å, b = 5.6203 Å, c = 9.6074 Å
α = 90.00°, β = 90.00°, γ = 90.00°
Space group Amm2 (No. 38)
One atom of each set of equivalent atoms:
V (0.0000, 0.0000, 0.0000) (multiplicity 2)
V (0.0000, 0.2251, 0.2231) (multiplicity 4)
V (0.5000, 0.0000, 0.2843) (multiplicity 2)
Fe (0.5000, 0.2235, 0.0684) (multiplicity 4)
Sn (0.0000, 0.0000, 0.4821) (multiplicity 2)
Sn (0.5000, 0.0000, 0.8098) (multiplicity 2)

Values from the calculation:
The formation enthalpy at 0 K comes out at -0.0154 eV/atom. Its total magnetization is 0.4684 μB per atom. The crystal system is orthorhombic.


5.
A plane-wave DFT calculation with PBE was carried out for Zr6FeSn2 after structural relaxation.

a = 8.0366 Å, b = 8.0366 Å, c = 3.4808 Å
α = 90.00°, β = 90.00°, γ = 120.00°
Space group P-62m (No. 189)
One atom of each set of equivalent atoms:
Zr (0.0000, 0.2406, 0.0000) (multiplicity 3)
Zr (0.0000, 0.6085, 0.5000) (multiplicity 3)
Fe (0.0000, 0.0000, 0.5000) (multiplicity 1)
Sn (0.3333, 0.6667, 0.0000) (multiplicity 2)

Values from the calculation:
The formation enthalpy at 0 K comes out at -0.3961 eV/atom. The crystal system is hexagonal.


6.
A plane-wave DFT calculation with PBE was carried out for ZrFe6Sn6 after structural relaxation.

a = 5.3704 Å, b = 5.3704 Å, c = 8.8972 Å
α = 90.00°, β = 90.00°, γ = 120.00°
Space group P6/mmm (No. 191)
One atom of each set of equivalent atoms:
Zr (0.0000, 0.0000, 0.0000) (multiplicity 1)
Fe (0.0000, 0.5000, 0.2475) (multiplicity 6)
Sn (0.0000, 0.0000, 0.3346) (multiplicity 2)
Sn (0.3333, 0.6667, 0.0000) (multiplicity 2)
Sn (0.3333, 0.6667, 0.5000) (multiplicity 2)

Values from the calculation:
The formation enthalpy at 0 K comes out at -0.0700 eV/atom. Its total magnetization is 1.0516 μB per atom. The crystal system is hexagonal.


7.
A plane-wave DFT calculation with PBE was carried out for Sr3Fe after structural relaxation.

a = 7.8518 Å, b = 7.8518 Å, c = 5.8874 Å
α = 90.00°, β = 90.00°, γ = 120.00°
Space group P6_3/mmc (No. 194)
One atom of each set of equivalent atoms:
Sr (0.1783, 0.3567, 0.2500) (multiplicity 6)
Fe (0.3333, 0.6667, 0.7500) (multiplicity 2)

Values from the calculation:
The formation enthalpy at 0 K comes out at 0.5694 eV/atom. Its total magnetization is 0.6428 μB per atom. The crystal system is hexagonal.


8.
A plane-wave DFT calculation with PBE was carried out for Ta7Fe6 after structural relaxation.

a = 4.9387 Å, b = 4.9387 Å, c = 27.0535 Å
α = 90.00°, β = 90.00°, γ = 120.00°
Space group R-3m (No. 166, hexagonal axes)
One atom of each set of equivalent atoms:
Ta (0.0000, 0.0000, 0.0000) (multiplicity 3)
Ta (0.0000, 0.0000, 0.1669) (multiplicity 6)
Ta (0.0000, 0.0000, 0.3476) (multiplicity 6)
Ta (0.0000, 0.0000, 0.4509) (multiplicity 6)
Fe (0.0066, 0.5033, 0.4114) (multiplicity 18)

Values from the calculation:
The formation enthalpy at 0 K comes out at -0.1827 eV/atom. Its total magnetization is 0.5648 μB per atom. The crystal system is trigonal.


9.
A plane-wave DFT calculation with PBE was carried out for TaFe after structural relaxation.

a = 4.8692 Å, b = 4.8692 Å, c = 53.7986 Å
α = 90.00°, β = 90.00°, γ = 120.00°
Space group R-3m (No. 166, hexagonal axes)
One atom of each set of equivalent atoms:
Ta (0.0000, 0.0000, 0.0000) (multiplicity 3)
Ta (0.0000, 0.0000, 0.0835) (multiplicity 6)
Ta (0.0000, 0.0000, 0.1737) (multiplicity 6)
Ta (0.0000, 0.0000, 0.2251) (multiplicity 6)
Ta (0.0000, 0.0000, 0.2744) (multiplicity 6)
Ta (0.0000, 0.0000, 0.3265) (multiplicity 6)
Ta (0.0000, 0.0000, 0.4174) (multiplicity 6)
Fe (0.0000, 0.0000, 0.5000) (multiplicity 3)
Fe (0.0019, 0.5010, 0.7960) (multiplicity 18)
Fe (0.0079, 0.5039, 0.2942) (multiplicity 18)

Values from the calculation:
The formation enthalpy at 0 K comes out at -0.1908 eV/atom. Its total magnetization is 0.7406 μB per atom. The crystal system is trigonal.


10.
A plane-wave DFT calculation with PBE was carried out for Ta2Fe after structural relaxation.

a = 4.8779 Å, b = 4.8779 Å, c = 9.5779 Å
α = 90.00°, β = 90.00°, γ = 120.00°
Space group P6_3/mcm (No. 193)
One atom of each set of equivalent atoms:
Ta (0.0000, 0.0000, 0.0000) (multiplicity 2)
Ta (0.0000, 0.3431, 0.2500) (multiplicity 6)
Fe (0.3333, 0.6667, 0.0000) (multiplicity 4)

Values from the calculation:
The formation enthalpy at 0 K comes out at 0.2834 eV/atom. Its total magnetization is 0.6750 μB per atom. The crystal system is hexagonal.


11.
A plane-wave DFT calculation with PBE was carried out for Ta4FeTe4 after structural relaxation.

a = 10.9493 Å, b = 19.2637 Å, c = 4.8603 Å
α = 90.00°, β = 90.00°, γ = 90.00°
Space group Pbam (No. 55)
One atom of each set of equivalent atoms:
Ta (0.0642, 0.1132, 0.0000) (multiplicity 4)
Ta (0.0958, 0.8943, 0.5000) (multiplicity 4)
Ta (0.1869, 0.0545, 0.5000) (multiplicity 4)
Ta (0.2001, 0.9637, 0.0000) (multiplicity 4)
Fe (0.0000, 0.0000, 0.2500) (multiplicity 4)
Te (0.1108, 0.1964, 0.5000) (multiplicity 4)
Te (0.1538, 0.4368, 0.5000) (multiplicity 4)
Te (0.1657, 0.8167, 0.0000) (multiplicity 4)
Te (0.1764, 0.5945, 0.0000) (multiplicity 4)

Values from the calculation:
The value obtained for the energy with MP2020 corrections is -294.59 eV for the cell shown. The formation enthalpy at 0 K comes out at -0.5748 eV/atom. Its total magnetization is 0.0003 μB per atom. The crystal system is orthorhombic.


12.
A plane-wave DFT calculation with PBE was carried out for TaTiFe2 after structural relaxation.

a = 6.0289 Å, b = 6.0289 Å, c = 6.0289 Å
α = 90.00°, β = 90.00°, γ = 90.00°
Space group Fm-3m (No. 225)
One atom of each set of equivalent atoms:
Ta (0.0000, 0.0000, 0.0000) (multiplicity 4)
Ti (0.0000, 0.0000, 0.5000) (multiplicity 4)
Fe (0.2500, 0.2500, 0.2500) (multiplicity 8)

Values from the calculation:
The formation enthalpy at 0 K comes out at -0.2874 eV/atom. Its total magnetization is 0.2508 μB per atom. The crystal system is cubic.


13.
A plane-wave DFT calculation with PBE was carried out for TbFe3 after structural relaxation.

a = 5.1120 Å, b = 5.1120 Å, c = 24.3882 Å
α = 90.00°, β = 90.00°, γ = 120.00°
Space group R-3m (No. 166, hexagonal axes)
One atom of each set of equivalent atoms:
Tb (0.0000, 0.0000, 0.0000) (multiplicity 3)
Tb (0.0000, 0.0000, 0.1419) (multiplicity 6)
Fe (0.0000, 0.0000, 0.3327) (multiplicity 6)
Fe (0.0000, 0.0000, 0.5000) (multiplicity 3)
Fe (0.0012, 0.5006, 0.0811) (multiplicity 18)

Values from the calculation:
The formation enthalpy at 0 K comes out at -0.0544 eV/atom. The crystal system is trigonal.


14.
A plane-wave DFT calculation with PBE was carried out for Tb2Fe17 after structural relaxation.

a = 8.4807 Å, b = 8.4807 Å, c = 12.4071 Å
α = 90.00°, β = 90.00°, γ = 120.00°
Space group R-3m (No. 166, hexagonal axes)
One atom of each set of equivalent atoms:
Tb (0.0000, 0.0000, 0.1589) (multiplicity 6)
Fe (0.0000, 0.0000, 0.4032) (multiplicity 6)
Fe (0.0000, 0.2947, 0.5000) (multiplicity 18)
Fe (0.0000, 0.5000, 0.0000) (multiplicity 9)
Fe (0.0003, 0.5002, 0.3434) (multiplicity 18)

Values from the calculation:
The formation enthalpy at 0 K comes out at -0.0031 eV/atom. The crystal system is trigonal.


15.
A plane-wave DFT calculation with PBE was carried out for Tb6Fe23 after structural relaxation.

a = 12.0828 Å, b = 12.0828 Å, c = 12.0828 Å
α = 90.00°, β = 90.00°, γ = 90.00°
Space group Fm-3m (No. 225)
One atom of each set of equivalent atoms:
Tb (0.0000, 0.0000, 0.2098) (multiplicity 24)
Fe (0.0000, 0.0000, 0.5000) (multiplicity 4)
Fe (0.0000, 0.2500, 0.2500) (multiplicity 24)
Fe (0.1216, 0.1216, 0.3784) (multiplicity 32)
Fe (0.1761, 0.1761, 0.1761) (multiplicity 32)

Values from the calculation:
The formation enthalpy at 0 K comes out at -0.0320 eV/atom. Its total magnetization is 1.7922 μB per atom. The crystal system is cubic.


16.
A plane-wave DFT calculation with PBE was carried out for Tb2Fe17 after structural relaxation.

a = 8.4810 Å, b = 8.4810 Å, c = 8.2497 Å
α = 90.00°, β = 90.00°, γ = 120.00°
Space group P6_3/mmc (No. 194)
One atom of each set of equivalent atoms:
Tb (0.0000, 0.0000, 0.2500) (multiplicity 2)
Tb (0.3333, 0.6667, 0.2500) (multiplicity 2)
Fe (0.0000, 0.5000, 0.0000) (multiplicity 6)
Fe (0.0386, 0.3685, 0.7500) (multiplicity 12)
Fe (0.1661, 0.3322, 0.0146) (multiplicity 12)
Fe (0.3333, 0.6667, 0.6068) (multiplicity 4)

Values from the calculation:
The formation enthalpy at 0 K comes out at -0.0042 eV/atom. Its total magnetization is 2.0524 μB per atom. The crystal system is hexagonal.